No. 1
VASP calculation (GGA-PBE) on a relaxed structure of GdInAu2.

Its formation energy is -2.61 eV per formula unit. For the uncorrected energy, the calculation gives -0.239 Ha/atom.

a = 5.151 Å, b = 5.151 Å, c = 5.151 Å
α = 60.00°, β = 60.00°, γ = 60.00°
Positions (direct):
Gd (0.000, 0.000, 0.000)
In (0.500, 0.500, 0.500)
Au (0.250, 0.250, 0.250)
Au (0.750, 0.750, 0.750)

No. 2
VASP calculation (GGA-PBE) on a relaxed structure of Ba2Ti3Tl2Zn2O10.

Its formation energy is -44.86 eV per formula unit. Its size of the total moment is 0.26 μB per formula unit. For the uncorrected energy, the calculation gives -0.236 Ha/atom.

a = 3.867 Å, b = 3.880 Å, c = 19.963 Å
α = 87.28°, β = 86.71°, γ = 90.00°
Positions (direct):
Ba (0.000, 0.000, 0.000)
Ba (0.335, 0.354, 0.356)
Ti (0.539, 0.557, 0.857)
Ti (0.756, 0.583, 0.681)
Ti (0.776, 0.832, 0.499)
Tl (0.406, 0.446, 0.119)
Tl (0.861, 0.905, 0.237)
Zn (0.071, 0.078, 0.782)
Zn (0.251, 0.313, 0.574)
O (0.042, 0.567, 0.831)
O (0.268, 0.848, 0.522)
O (0.286, 0.549, 0.660)
O (0.307, 0.421, 0.233)
O (0.518, 0.062, 0.838)
O (0.534, 0.534, 0.947)
O (0.762, 0.328, 0.524)
O (0.800, 0.063, 0.700)
O (0.806, 0.839, 0.410)
O (0.839, 0.934, 0.122)

No. 3
VASP calculation (GGA-PBE) on a relaxed structure of K4H5Se4O16.

Its formation energy is -41.47 eV per formula unit. Its size of the total moment is 0.95 μB per formula unit. For the uncorrected energy, the calculation gives -0.184 Ha/atom.

a = 7.661 Å, b = 7.930 Å, c = 7.968 Å
α = 72.23°, β = 86.79°, γ = 85.21°
Positions (direct):
K (0.033, 0.247, 0.217)
K (0.335, 0.312, 0.663)
K (0.665, 0.688, 0.337)
K (0.967, 0.753, 0.783)
H (0.252, 0.925, 0.031)
H (0.357, 0.488, 0.919)
H (0.500, 0.000, 0.500)
H (0.643, 0.512, 0.081)
H (0.748, 0.075, 0.969)
Se (0.129, 0.718, 0.279)
Se (0.470, 0.779, 0.801)
Se (0.530, 0.221, 0.199)
Se (0.871, 0.282, 0.721)
O (0.005, 0.770, 0.435)
O (0.014, 0.637, 0.154)
O (0.191, 0.931, 0.147)
O (0.311, 0.596, 0.348)
O (0.323, 0.598, 0.816)
O (0.336, 0.944, 0.837)
O (0.369, 0.298, 0.051)
O (0.433, 0.141, 0.411)
O (0.567, 0.859, 0.589)
O (0.631, 0.702, 0.949)
O (0.664, 0.056, 0.163)
O (0.677, 0.402, 0.184)
O (0.689, 0.404, 0.652)
O (0.809, 0.069, 0.853)
O (0.986, 0.363, 0.846)
O (0.995, 0.230, 0.565)